# 1
# Ce2Si2O7

Crystalline Ce2Si2O7 at its relaxed geometry (PBE, the Materials Project).

Output
MP2020-corrected energy   -8.74 eV per atom
Energy of formation   -3747 kJ/mol of formula units

a b c (Å): 23.5259 7.3138 10.1616
angles (deg): 90.00 90.00 90.00
Closest atoms and distances in Å follow each position.
Element x y z (fractional)
Ce1 0.0762 0.1202 0.0000  7 O 2.34-2.61
Ce2 0.0777 0.6252 0.5008  6 O 2.37-2.56
Ce3 0.1605 0.1127 0.3517  4 O 2.41-2.58
Ce4 0.1640 0.5855 0.1305  7 O 2.48-2.75
Ce5 0.1827 0.3573 0.7581  7 O 2.39-2.67
Ce6 0.1865 0.8574 0.7310  6 O 2.34-2.55
Ce7 0.3135 0.8574 0.2310  6 O 2.34-2.55
Ce8 0.3173 0.3573 0.2581  7 O 2.39-2.67
Ce9 0.3360 0.5855 0.6305  7 O 2.48-2.75
Ce10 0.3395 0.1127 0.8517  4 O 2.41-2.58
Ce11 0.4223 0.6252 0.0008  6 O 2.37-2.56
Ce12 0.4238 0.1202 0.5000  7 O 2.34-2.61
Ce13 0.5762 0.8798 0.0000  7 O 2.34-2.61
Ce14 0.5777 0.3748 0.5008  6 O 2.37-2.56
Ce15 0.6605 0.8873 0.3517  4 O 2.41-2.58
Ce16 0.6640 0.4145 0.1305  7 O 2.48-2.75
Ce17 0.6827 0.6427 0.7581  7 O 2.39-2.67
Ce18 0.6865 0.1426 0.7310  6 O 2.34-2.55
Ce19 0.8135 0.1426 0.2310  6 O 2.34-2.55
Ce20 0.8173 0.6427 0.2581  7 O 2.39-2.67
Ce21 0.8360 0.4145 0.6305  7 O 2.48-2.75
Ce22 0.8395 0.8873 0.8517  4 O 2.41-2.58
Ce23 0.9223 0.3748 0.0008  6 O 2.37-2.56
Ce24 0.9238 0.8798 0.5000  7 O 2.34-2.61
Si1 0.0327 0.8490 0.2363  4 O 1.60-1.66
Si2 0.0363 0.4195 0.2382  4 O 1.60-1.67
Si3 0.0789 0.6167 0.8754  4 O 1.62-1.68
Si4 0.0843 0.1130 0.6210  4 O 1.63-1.66
Si5 0.2208 0.5737 0.4290  4 O 1.64-1.66
Si6 0.2231 0.0731 0.0529  4 O 1.63-1.66
Si7 0.2769 0.0731 0.5529  4 O 1.63-1.66
Si8 0.2792 0.5737 0.9290  4 O 1.64-1.66
Si9 0.4157 0.1130 0.1210  4 O 1.63-1.66
Si10 0.4211 0.6167 0.3754  4 O 1.62-1.68
Si11 0.4637 0.4195 0.7382  4 O 1.60-1.67
Si12 0.4673 0.8490 0.7363  4 O 1.60-1.66
Si13 0.5327 0.1510 0.2363  4 O 1.60-1.66
Si14 0.5363 0.5805 0.2382  4 O 1.60-1.67
Si15 0.5789 0.3833 0.8754  4 O 1.62-1.68
Si16 0.5843 0.8870 0.6210  4 O 1.63-1.66
Si17 0.7208 0.4263 0.4290  4 O 1.64-1.66
Si18 0.7231 0.9269 0.0529  4 O 1.63-1.66
Si19 0.7769 0.9269 0.5529  4 O 1.63-1.66
Si20 0.7792 0.4263 0.9290  4 O 1.64-1.66
Si21 0.9157 0.8870 0.1210  4 O 1.63-1.66
Si22 0.9211 0.3833 0.3754  4 O 1.62-1.68
Si23 0.9637 0.5805 0.7382  4 O 1.60-1.67
Si24 0.9673 0.1510 0.7363  4 O 1.60-1.66
O1 0.0083 0.3178 0.1149  1 Si 1.60
O2 0.0086 0.5819 0.8642  2 Si 1.66-1.68
O3 0.0090 0.8400 0.3842  1 Si 1.60
O4 0.0146 0.0876 0.6267  2 Si 1.64-1.65
O5 0.0521 0.6364 0.2002  2 Si 1.66-1.67
O6 0.0878 0.9774 0.2156  1 Si 1.61
O7 0.0978 0.7986 0.9554  1 Si 1.62
O8 0.0993 0.3595 0.2828  1 Si 1.61
O9 0.1040 0.3053 0.5547  1 Si 1.63
O10 0.1077 0.4375 0.9472  1 Si 1.65
O11 0.1085 0.6216 0.7271  1 Si 1.66
O12 0.1125 0.1064 0.7706  1 Si 1.66
O13 0.1116 0.9384 0.5416  1 Si 1.64
O14 0.1687 0.7014 0.3736  1 Si 1.64
O15 0.1743 0.2202 0.0954  1 Si 1.63
O16 0.2120 0.1346 0.5964  1 Si 1.65
O17 0.2130 0.6371 0.8962  1 Si 1.66
O18 0.2136 0.8850 0.1410  1 Si 1.66
O19 0.2176 0.3850 0.3392  1 Si 1.66
O20 0.2180 0.5587 0.5914  1 Si 1.65
O21 0.2247 0.0519 0.8910  1 Si 1.65
O22 0.2753 0.0519 0.3910  1 Si 1.65
O23 0.2824 0.3850 0.8392  1 Si 1.66
O24 0.2820 0.5587 0.0914  1 Si 1.65
O25 0.2864 0.8850 0.6410  1 Si 1.66
O26 0.2870 0.6371 0.3962  1 Si 1.66
O27 0.2880 0.1346 0.0964  1 Si 1.65
O28 0.3257 0.2202 0.5954  1 Si 1.63
O29 0.3313 0.7014 0.8736  1 Si 1.64
O30 0.3875 0.1064 0.2706  1 Si 1.66
O31 0.3884 0.9384 0.0416  1 Si 1.64
O32 0.3915 0.6216 0.2271  1 Si 1.66
O33 0.3923 0.4375 0.4472  1 Si 1.65
O34 0.3960 0.3053 0.0547  1 Si 1.63
O35 0.4007 0.3595 0.7828  1 Si 1.61
O36 0.4022 0.7986 0.4554  1 Si 1.62
O37 0.4122 0.9774 0.7156  1 Si 1.61
O38 0.4479 0.6364 0.7002  2 Si 1.66-1.67
O39 0.4854 0.0876 0.1267  2 Si 1.64-1.65
O40 0.4914 0.5819 0.3642  2 Si 1.66-1.68
O41 0.4910 0.8400 0.8842  1 Si 1.60
O42 0.4917 0.3178 0.6149  1 Si 1.60
O43 0.5083 0.6822 0.1149  1 Si 1.60
O44 0.5090 0.1600 0.3842  1 Si 1.60
O45 0.5086 0.4181 0.8642  2 Si 1.66-1.68
O46 0.5146 0.9124 0.6267  2 Si 1.64-1.65
O47 0.5521 0.3636 0.2002  2 Si 1.66-1.67
O48 0.5878 0.0226 0.2156  1 Si 1.61
O49 0.5978 0.2014 0.9554  1 Si 1.62
O50 0.5993 0.6405 0.2828  1 Si 1.61
O51 0.6040 0.6947 0.5547  1 Si 1.63
O52 0.6077 0.5625 0.9472  1 Si 1.65
O53 0.6085 0.3784 0.7271  1 Si 1.66
O54 0.6116 0.0616 0.5416  1 Si 1.64
O55 0.6125 0.8936 0.7706  1 Si 1.66
O56 0.6687 0.2986 0.3736  1 Si 1.64
O57 0.6743 0.7798 0.0954  1 Si 1.63
O58 0.7120 0.8654 0.5964  1 Si 1.65
O59 0.7130 0.3629 0.8962  1 Si 1.66
O60 0.7136 0.1150 0.1410  1 Si 1.66
O61 0.7180 0.4413 0.5914  1 Si 1.65
O62 0.7176 0.6150 0.3392  1 Si 1.66
O63 0.7247 0.9481 0.8910  1 Si 1.65
O64 0.7753 0.9481 0.3910  1 Si 1.65
O65 0.7820 0.4413 0.0914  1 Si 1.65
O66 0.7824 0.6150 0.8392  1 Si 1.66
O67 0.7864 0.1150 0.6410  1 Si 1.66
O68 0.7870 0.3629 0.3962  1 Si 1.66
O69 0.7880 0.8654 0.0964  1 Si 1.65
O70 0.8257 0.7798 0.5954  1 Si 1.63
O71 0.8313 0.2986 0.8736  1 Si 1.64
O72 0.8884 0.0616 0.0416  1 Si 1.64
O73 0.8875 0.8936 0.2706  1 Si 1.66
O74 0.8915 0.3784 0.2271  1 Si 1.66
O75 0.8923 0.5625 0.4472  1 Si 1.65
O76 0.8960 0.6947 0.0547  1 Si 1.63
O77 0.9007 0.6405 0.7828  1 Si 1.61
O78 0.9022 0.2014 0.4554  1 Si 1.62
O79 0.9122 0.0226 0.7156  1 Si 1.61
O80 0.9479 0.3636 0.7002  2 Si 1.66-1.67
O81 0.9854 0.9124 0.1267  2 Si 1.64-1.65
O82 0.9910 0.1600 0.8842  1 Si 1.60
O83 0.9914 0.4181 0.3642  2 Si 1.66-1.68
O84 0.9917 0.6822 0.6149  1 Si 1.60

---

# 2
# Ce2SiTeO4

Crystalline Ce2SiTeO4 at its relaxed geometry (PBE, the Materials Project).

Output
MP2020-corrected energy   -8.18 eV per atom
Energy of formation   -2435 kJ/mol of formula units

a b c (Å): 6.4111 7.2906 11.3150
angles (deg): 90.00 90.00 90.00
Closest atoms and distances in Å follow each position.
Element x y z (fractional)
Ce1 0.1101 0.2500 0.0000  6 O 2.55-2.56
Ce2 0.1101 0.2500 0.5000  6 O 2.55-2.56
Ce3 0.3878 0.5392 0.2500  6 O 2.49-2.63
Ce4 0.3878 0.9608 0.7500  6 O 2.49-2.63
Ce5 0.6122 0.0392 0.2500  6 O 2.49-2.63
Ce6 0.6122 0.4608 0.7500  6 O 2.49-2.63
Ce7 0.8899 0.7500 0.0000  6 O 2.55-2.56
Ce8 0.8899 0.7500 0.5000  6 O 2.55-2.56
Si1 0.3863 0.7500 0.0000  4 O 1.65-1.66
Si2 0.3863 0.7500 0.5000  4 O 1.65-1.66
Si3 0.6137 0.2500 0.0000  4 O 1.65-1.66
Si4 0.6137 0.2500 0.5000  4 O 1.65-1.66
Te1 0.0980 0.5711 0.7500  5 Ce 3.22-3.39, 6 O 3.35-3.46
Te2 0.0980 0.9289 0.2500  5 Ce 3.22-3.39, 6 O 3.35-3.46
Te3 0.9020 0.0711 0.7500  5 Ce 3.22-3.39, 6 O 3.35-3.46
Te4 0.9020 0.4289 0.2500  5 Ce 3.22-3.39, 6 O 3.35-3.46
O1 0.2324 0.5781 0.0359  1 Si 1.65
O2 0.2324 0.5781 0.4641  1 Si 1.65
O3 0.2324 0.9219 0.5359  1 Si 1.65
O4 0.2324 0.9219 0.9641  1 Si 1.65
O5 0.4533 0.2296 0.6150  1 Si 1.66
O6 0.4533 0.2296 0.8850  1 Si 1.66
O7 0.4533 0.2704 0.1150  1 Si 1.66
O8 0.4533 0.2704 0.3850  1 Si 1.66
O9 0.5467 0.7296 0.6150  1 Si 1.66
O10 0.5467 0.7296 0.8850  1 Si 1.66
O11 0.5467 0.7704 0.1150  1 Si 1.66
O12 0.5467 0.7704 0.3850  1 Si 1.66
O13 0.7676 0.0781 0.0359  1 Si 1.65
O14 0.7676 0.0781 0.4641  1 Si 1.65
O15 0.7676 0.4219 0.5359  1 Si 1.65
O16 0.7676 0.4219 0.9641  1 Si 1.65